Material: BaB2H8O8
Method: DFT, GGA-PBE
State: optimized geometry

**Energy relative to the elements**: -25.3 eV/f.u.
**E_tot**: -5.356 eV per atom
**SG**: P2_1/c, No. 14
**Spin magnetization**: 0.00 μB per cell

a = 8.921 Å, b = 18.000 Å, c = 12.298 Å
α = 90.00°, β = 113.86°, γ = 90.00°
Atoms (fractional coordinates):
Ba 0.083 0.076 0.247
Ba 0.083 0.424 0.747
Ba 0.368 0.719 0.700
Ba 0.368 0.781 0.200
Ba 0.632 0.219 0.800
Ba 0.632 0.281 0.300
Ba 0.917 0.576 0.253
Ba 0.917 0.924 0.753
B 0.232 0.734 0.416
B 0.232 0.766 0.916
B 0.235 0.021 0.691
B 0.235 0.479 0.191
B 0.265 0.202 0.921
B 0.265 0.298 0.421
B 0.303 0.506 0.560
B 0.303 0.994 0.060
B 0.697 0.006 0.940
B 0.697 0.494 0.440
B 0.735 0.702 0.579
B 0.735 0.798 0.079
B 0.765 0.521 0.809
B 0.765 0.979 0.309
B 0.768 0.234 0.084
B 0.768 0.266 0.584
H 0.030 0.076 0.617
H 0.030 0.424 0.117
H 0.054 0.719 0.073
H 0.054 0.781 0.573
H 0.089 0.729 0.028
H 0.089 0.771 0.528
H 0.091 0.223 0.662
H 0.091 0.277 0.162
H 0.123 0.222 0.876
H 0.123 0.278 0.376
H 0.145 0.216 0.629
H 0.145 0.284 0.129
H 0.219 0.050 0.916
H 0.219 0.450 0.416
H 0.237 0.640 0.852
H 0.237 0.860 0.352
H 0.253 0.103 0.556
H 0.253 0.397 0.056
H 0.280 0.248 0.285
H 0.280 0.252 0.785
H 0.292 0.106 0.075
H 0.292 0.394 0.575
H 0.293 0.161 0.485
H 0.293 0.339 0.985
H 0.393 0.563 0.298
H 0.393 0.937 0.798
H 0.471 0.563 0.696
H 0.471 0.937 0.196
H 0.479 0.127 0.447
H 0.479 0.373 0.947
H 0.496 0.551 0.107
H 0.496 0.949 0.607
H 0.504 0.051 0.393
H 0.504 0.449 0.893
H 0.521 0.627 0.053
H 0.521 0.873 0.553
H 0.529 0.063 0.804
H 0.529 0.437 0.304
H 0.607 0.063 0.202
H 0.607 0.437 0.702
H 0.707 0.661 0.015
H 0.707 0.839 0.515
H 0.708 0.606 0.425
H 0.708 0.894 0.925
H 0.720 0.748 0.215
H 0.720 0.752 0.715
H 0.747 0.603 0.944
H 0.747 0.897 0.444
H 0.763 0.140 0.648
H 0.763 0.360 0.148
H 0.781 0.550 0.584
H 0.781 0.950 0.084
H 0.855 0.716 0.871
H 0.855 0.784 0.371
H 0.877 0.722 0.624
H 0.877 0.778 0.124
H 0.909 0.723 0.838
H 0.909 0.777 0.338
H 0.911 0.229 0.472
H 0.911 0.271 0.972
H 0.946 0.219 0.427
H 0.946 0.281 0.927
H 0.970 0.576 0.883
H 0.970 0.924 0.383
O 0.042 0.623 0.526
O 0.042 0.877 0.026
O 0.063 0.599 0.629
O 0.063 0.901 0.129
O 0.065 0.027 0.653
O 0.065 0.473 0.153
O 0.141 0.745 0.814
O 0.141 0.755 0.314
O 0.185 0.621 0.218
O 0.185 0.879 0.718
O 0.201 0.129 0.478
O 0.201 0.371 0.978
O 0.240 0.502 0.436
O 0.240 0.998 0.936
O 0.291 0.054 0.124
O 0.291 0.446 0.624
O 0.293 0.557 0.225
O 0.293 0.943 0.725
O 0.332 0.159 0.015
O 0.332 0.341 0.515
O 0.344 0.618 0.862
O 0.344 0.882 0.362
O 0.346 0.068 0.694
O 0.346 0.432 0.194
O 0.359 0.230 0.859
O 0.359 0.270 0.359
O 0.381 0.571 0.615
O 0.381 0.929 0.115
O 0.433 0.094 0.374
O 0.433 0.406 0.874
O 0.453 0.679 0.936
O 0.453 0.821 0.436
O 0.547 0.179 0.564
O 0.547 0.321 0.064
O 0.567 0.594 0.126
O 0.567 0.906 0.626
O 0.619 0.071 0.885
O 0.619 0.429 0.385
O 0.641 0.730 0.641
O 0.641 0.770 0.141
O 0.654 0.568 0.806
O 0.654 0.932 0.306
O 0.656 0.118 0.638
O 0.656 0.382 0.138
O 0.668 0.659 0.485
O 0.668 0.841 0.985
O 0.707 0.057 0.275
O 0.707 0.443 0.775
O 0.709 0.554 0.376
O 0.709 0.946 0.876
O 0.760 0.002 0.064
O 0.760 0.498 0.564
O 0.799 0.629 0.022
O 0.799 0.871 0.522
O 0.815 0.121 0.282
O 0.815 0.379 0.782
O 0.859 0.245 0.686
O 0.859 0.255 0.186
O 0.935 0.527 0.847
O 0.935 0.973 0.347
O 0.937 0.099 0.871
O 0.937 0.401 0.371
O 0.958 0.123 0.974
O 0.958 0.377 0.474

---

Material: BaB2H10O9
Method: DFT, GGA-PBE
State: optimized geometry

**Energy relative to the lowest polymorph listed for this composition**: 0.44 eV per formula unit
**Energy relative to the elements**: -33.1 eV/f.u.
**E_tot**: -5.484 eV per atom
**SG**: P2_1/c, No. 14
**Spin magnetization**: 8.00 μB per cell

a = 6.736 Å, b = 8.796 Å, c = 17.930 Å
α = 90.00°, β = 94.63°, γ = 90.00°
Atoms (fractional coordinates):
Ba 0.117 0.007 0.206
Ba 0.117 0.493 0.706
Ba 0.883 0.507 0.294
Ba 0.883 0.993 0.794
B 0.171 0.206 0.027
B 0.171 0.294 0.527
B 0.343 0.647 0.219
B 0.343 0.853 0.719
B 0.657 0.147 0.281
B 0.657 0.353 0.781
B 0.829 0.706 0.473
B 0.829 0.794 0.973
H 0.003 0.679 0.866
H 0.003 0.821 0.366
H 0.009 0.631 0.128
H 0.009 0.869 0.628
H 0.092 0.661 0.051
H 0.092 0.839 0.551
H 0.239 0.238 0.892
H 0.239 0.262 0.392
H 0.281 0.112 0.482
H 0.281 0.388 0.982
H 0.311 0.212 0.814
H 0.311 0.288 0.314
H 0.367 0.074 0.710
H 0.367 0.426 0.210
H 0.406 0.745 0.630
H 0.406 0.755 0.130
H 0.496 0.183 0.622
H 0.496 0.317 0.122
H 0.497 0.732 0.382
H 0.497 0.768 0.882
H 0.503 0.232 0.118
H 0.503 0.268 0.618
H 0.504 0.683 0.878
H 0.504 0.817 0.378
H 0.594 0.245 0.870
H 0.594 0.255 0.370
H 0.633 0.574 0.790
H 0.633 0.926 0.290
H 0.689 0.712 0.686
H 0.689 0.788 0.186
H 0.719 0.612 0.018
H 0.719 0.888 0.518
H 0.761 0.738 0.608
H 0.761 0.762 0.108
H 0.908 0.161 0.449
H 0.908 0.339 0.949
H 0.991 0.131 0.372
H 0.991 0.369 0.872
H 0.997 0.179 0.634
H 0.997 0.321 0.134
O 0.011 0.734 0.964
O 0.011 0.766 0.464
O 0.044 0.172 0.688
O 0.044 0.328 0.188
O 0.121 0.605 0.098
O 0.121 0.895 0.598
O 0.187 0.228 0.838
O 0.187 0.272 0.338
O 0.202 0.071 0.061
O 0.202 0.429 0.561
O 0.208 0.650 0.270
O 0.208 0.850 0.770
O 0.308 0.221 0.482
O 0.308 0.279 0.982
O 0.408 0.720 0.683
O 0.408 0.780 0.183
O 0.453 0.515 0.207
O 0.453 0.985 0.707
O 0.547 0.015 0.293
O 0.547 0.485 0.793
O 0.592 0.220 0.817
O 0.592 0.280 0.317
O 0.692 0.721 0.018
O 0.692 0.779 0.518
O 0.792 0.150 0.230
O 0.792 0.350 0.730
O 0.798 0.571 0.439
O 0.798 0.929 0.939
O 0.813 0.728 0.662
O 0.813 0.772 0.162
O 0.879 0.105 0.402
O 0.879 0.395 0.902
O 0.956 0.672 0.812
O 0.956 0.828 0.312
O 0.989 0.234 0.536
O 0.989 0.266 0.036

---

Material: BaHfB2O6
Method: DFT, GGA-PBE
State: optimized geometry

**Energy relative to the elements**: -34.1 eV/f.u.
**E_tot**: -8.490 eV per atom
**SG**: R3c, No. 161
**Spin magnetization**: 0.00 μB per cell

a = 11.852 Å, b = 11.852 Å, c = 11.852 Å
α = 25.30°, β = 25.30°, γ = 25.30°
Atoms (fractional coordinates):
Ba 0.000 0.000 0.000
Ba 0.500 0.500 0.500
Hf 0.251 0.251 0.251
Hf 0.751 0.751 0.751
B 0.120 0.120 0.120
B 0.383 0.383 0.383
B 0.620 0.620 0.620
B 0.883 0.883 0.883
O 0.019 0.921 0.422
O 0.084 0.469 0.594
O 0.094 0.969 0.584
O 0.421 0.519 0.922
O 0.422 0.019 0.921
O 0.469 0.594 0.084
O 0.519 0.922 0.421
O 0.584 0.094 0.969
O 0.594 0.084 0.469
O 0.921 0.422 0.019
O 0.922 0.421 0.519
O 0.969 0.584 0.094

---

Material: Ba7B12Ir12
Method: DFT, GGA-PBE
State: optimized geometry

**Energy relative to the elements**: -15.2 eV/f.u.
**E_tot**: -6.929 eV per atom
**SG**: R-3m, No. 166

a = 9.352 Å, b = 9.352 Å, c = 9.352 Å
α = 111.38°, β = 111.38°, γ = 111.38°
Atoms (fractional coordinates):
Ba 0.000 0.000 0.000
Ba 0.207 0.207 0.511
Ba 0.207 0.511 0.207
Ba 0.489 0.793 0.793
Ba 0.511 0.207 0.207
Ba 0.793 0.489 0.793
Ba 0.793 0.793 0.489
B 0.000 0.227 0.773
B 0.000 0.441 0.559
B 0.000 0.559 0.441
B 0.000 0.773 0.227
B 0.227 0.000 0.773
B 0.227 0.773 0.000
B 0.441 0.000 0.559
B 0.441 0.559 0.000
B 0.559 0.000 0.441
B 0.559 0.441 0.000
B 0.773 0.000 0.227
B 0.773 0.227 0.000
Ir 0.115 0.736 0.736
Ir 0.170 0.500 0.830
Ir 0.170 0.830 0.500
Ir 0.264 0.264 0.885
Ir 0.264 0.885 0.264
Ir 0.500 0.170 0.830
Ir 0.500 0.830 0.170
Ir 0.736 0.115 0.736
Ir 0.736 0.736 0.115
Ir 0.830 0.170 0.500
Ir 0.830 0.500 0.170
Ir 0.885 0.264 0.264

---

Material: BaB2Ir2
Method: DFT, GGA-PBE
State: optimized geometry

**Energy relative to the elements**: -2.5 eV/f.u.
**E_tot**: -7.091 eV per atom
**SG**: I4/mmm, No. 139

a = 6.414 Å, b = 6.414 Å, c = 6.414 Å
α = 144.01°, β = 144.01°, γ = 51.81°
Atoms (fractional coordinates):
Ba 0.000 0.000 0.000
B 0.318 0.318 0.000
B 0.682 0.682 0.000
Ir 0.250 0.750 0.500
Ir 0.750 0.250 0.500

---

Material: KBaB5O9
Method: DFT, GGA-PBE
State: optimized geometry

**Energy relative to the elements**: -47.2 eV/f.u.
**E_tot**: -7.623 eV per atom
**SG**: P2_1/c, No. 14
**Spin magnetization**: 0.00 μB per cell

a = 6.794 Å, b = 8.503 Å, c = 14.504 Å
α = 90.00°, β = 92.99°, γ = 90.00°
Atoms (fractional coordinates):
K 0.010 0.146 0.404
K 0.010 0.354 0.904
K 0.990 0.646 0.096
K 0.990 0.854 0.596
Ba 0.427 0.532 0.727
Ba 0.427 0.968 0.227
Ba 0.573 0.032 0.773
Ba 0.573 0.468 0.273
B 0.036 0.207 0.681
B 0.036 0.293 0.181
B 0.102 0.520 0.309
B 0.102 0.980 0.809
B 0.298 0.726 0.397
B 0.298 0.774 0.897
B 0.339 0.192 0.574
B 0.339 0.308 0.074
B 0.440 0.694 0.056
B 0.440 0.806 0.556
B 0.560 0.194 0.444
B 0.560 0.306 0.944
B 0.661 0.692 0.926
B 0.661 0.808 0.426
B 0.702 0.226 0.103
B 0.702 0.274 0.603
B 0.898 0.020 0.191
B 0.898 0.480 0.691
B 0.964 0.707 0.819
B 0.964 0.793 0.319
O 0.057 0.120 0.207
O 0.057 0.380 0.707
O 0.118 0.122 0.765
O 0.118 0.378 0.265
O 0.151 0.170 0.600
O 0.151 0.330 0.100
O 0.169 0.668 0.841
O 0.169 0.832 0.341
O 0.256 0.560 0.370
O 0.256 0.940 0.870
O 0.290 0.747 0.496
O 0.290 0.753 0.996
O 0.375 0.160 0.482
O 0.375 0.340 0.982
O 0.416 0.674 0.146
O 0.416 0.826 0.646
O 0.491 0.245 0.633
O 0.491 0.255 0.133
O 0.509 0.745 0.867
O 0.509 0.755 0.367
O 0.584 0.174 0.354
O 0.584 0.326 0.854
O 0.625 0.660 0.018
O 0.625 0.840 0.518
O 0.710 0.247 0.004
O 0.710 0.253 0.504
O 0.744 0.060 0.130
O 0.744 0.440 0.630
O 0.831 0.168 0.659
O 0.831 0.332 0.159
O 0.849 0.670 0.900
O 0.849 0.830 0.400
O 0.882 0.622 0.735
O 0.882 0.878 0.235
O 0.943 0.620 0.293
O 0.943 0.880 0.793

---

Material: KBaBP2O8
Method: DFT, GGA-PBE
State: optimized geometry

**Energy relative to the elements**: -38.6 eV/f.u.
**E_tot**: -7.168 eV per atom
**SG**: Cc, No. 9
**Spin magnetization**: 0.00 μB per cell

a = 7.281 Å, b = 7.281 Å, c = 8.881 Å
α = 113.82°, β = 113.82°, γ = 89.96°
Atoms (fractional coordinates):
K 0.069 0.931 0.500
K 0.931 0.069 0.000
Ba 0.431 0.798 0.001
Ba 0.798 0.431 0.501
B 0.302 0.557 0.250
B 0.557 0.302 0.750
P 0.279 0.430 0.501
P 0.430 0.279 0.001
P 0.578 0.929 0.499
P 0.929 0.578 0.999
O 0.034 0.646 0.906
O 0.080 0.508 0.143
O 0.116 0.241 0.411
O 0.212 0.625 0.599
O 0.241 0.116 0.911
O 0.356 0.444 0.361
O 0.363 0.781 0.355
O 0.418 0.497 0.140
O 0.444 0.356 0.861
O 0.497 0.418 0.640
O 0.508 0.080 0.643
O 0.625 0.212 0.099
O 0.646 0.034 0.406
O 0.737 0.821 0.585
O 0.781 0.363 0.855
O 0.821 0.737 0.085